# 1
ReNiPb2O6 | PBE with a Hubbard U | optimized geometry

Output
energy: -6.49 eV per atom
spin magnetization: 3.0 μB/f.u.
formation energy from the elements: -1626.0 meV/atom

abc: 8.0328 8.0328 8.0328
angles: 90.00 90.00 90.00
Last column: nearest neighbours and their distance in Å.
Space group Fm-3m (No. 225)
One atom of each set of equivalent atoms:
1 Re 0.0000 0.0000 0.0000  6 O 1.94
2 Ni 0.0000 0.0000 0.5000  6 O 2.08
3 Pb 0.2500 0.2500 0.2500  12 O 2.84
4 O 0.0000 0.0000 0.2412  1 Re 1.94, 1 Ni 2.08



# 2
NdVO4 | PBE with a Hubbard U | optimized geometry

Output
energy: -8.04 eV per atom
formation energy from the elements: -3175.3 meV/atom

abc: 7.4390 7.4390 6.5035
angles: 90.00 90.00 90.00
Last column: nearest neighbours and their distance in Å.
Space group I4_1/amd (No. 141, origin choice 2)
One atom of each set of equivalent atoms:
1 Nd 0.0000 0.2500 0.3750  8 O 2.43-2.52
2 V 0.0000 0.2500 0.8750  4 O 1.74
3 O 0.0000 0.0698 0.7037  1 V 1.74



# 3
Cr3Co5O16 | PBE with a Hubbard U | optimized geometry

Output
energy: -6.29 eV per atom
spin magnetization: 11.0 μB/f.u.
formation energy from the elements: -1356.0 meV/atom

abc: 9.9094 5.7609 8.6109
angles: 90.00 90.00 90.00
Last column: nearest neighbours and their distance in Å.
Space group Cm (No. 8)
One atom of each set of equivalent atoms:
1 Cr 0.0000 0.0000 0.0000  6 O 1.83-2.00
2 Cr 0.0819 0.2481 0.5016  6 O 1.84-2.03
3 Co 0.2471 0.2542 0.0073  6 O 1.86-1.92
4 Co 0.3263 0.5000 0.2809  6 O 1.87-1.93
5 Co 0.3346 0.0000 0.5126  6 O 1.84-1.97
6 Co 0.4908 0.0000 0.7863  6 O 1.87-1.95
7 O 0.0763 0.2526 0.9045  1 Cr 1.83, 2 Co 1.91-1.95
8 O 0.1330 0.5000 0.6429  1 Co 1.87, 2 Cr 1.96
9 O 0.1702 0.0000 0.1155  2 Co 1.90, 1 Cr 1.96
10 O 0.1703 0.0000 0.6166  1 Co 1.86, 2 Cr 1.95
11 O 0.1826 0.5000 0.1380  3 Co 1.88-1.92
12 O 0.2456 0.2562 0.4015  1 Cr 1.84, 2 Co 1.92-1.97
13 O 0.3220 0.5000 0.8972  2 Co 1.86, 1 Cr 1.97
14 O 0.3298 0.0000 0.9025  3 Co 1.88-1.91
15 O 0.3983 0.2849 0.1407  2 Co 1.87-1.90, 1 Cr 2.00
16 O 0.4204 0.2145 0.6439  2 Co 1.88, 1 Cr 2.03
17 O 0.4864 0.5000 0.4080  2 Cr 1.89, 1 Co 1.93
18 O 0.4892 0.0000 0.3937  1 Co 1.84, 2 Cr 1.95



# 4
K2Al4Fe5Si5H4O24 | PBE with a Hubbard U | optimized geometry

Output
energy: -6.55 eV per atom
spin magnetization: 24.0 μB/f.u.
formation energy from the elements: -2201.6 meV/atom

abc: 6.6562 7.7956 11.4951
angles: 78.35 83.76 78.02
Last column: nearest neighbours and their distance in Å.
Space group P1 (No. 1)
One atom of each set of equivalent atoms:
1 K 0.0000 0.0000 0.0000  2 O 2.54-2.59
2 K 0.1687 0.3797 0.4569  4 O 2.49-2.78
3 Al 0.0536 0.0264 0.2723  4 O 1.72-1.92
4 Al 0.3257 0.2273 0.0597  4 O 1.75-1.80
5 Al 0.3620 0.7483 0.3760  4 O 1.73-1.86
6 Al 0.5878 0.0433 0.2679  3 O 1.78-1.79
7 Fe 0.2792 0.2847 0.8143  3 O 1.89-2.03
8 Fe 0.4257 0.9757 0.5980  2 O 1.79-1.97
9 Fe 0.6045 0.9132 0.8758  4 O 1.95-2.13
10 Fe 0.7078 0.5509 0.3111  3 O 1.81-2.00
11 Fe 0.9815 0.5873 0.9742  3 O 1.90-2.01
12 Si 0.4403 0.5852 0.0467  1 H 1.47, 2 O 1.61-1.64
13 Si 0.5817 0.5824 0.7884  4 O 1.60-1.73
14 Si 0.7663 0.1796 0.4584  4 O 1.62-1.69
15 Si 0.9205 0.9212 0.6958  4 O 1.66-1.77
16 Si 0.9414 0.2439 0.7487  2 O 1.66-1.70
17 H 0.4965 0.7023 0.1185  1 Si 1.47
18 H 0.5129 0.2750 0.6328  1 O 0.98
19 H 0.8407 0.3877 0.1471  1 O 0.99
20 H 0.9575 0.7693 0.5505  1 O 0.98
21 O 0.0935 0.0612 0.6667  1 Si 1.71
22 O 0.1057 0.3445 0.9783  1 Al 1.80, 1 Fe 1.90
23 O 0.1162 0.8012 0.3261  2 Al 1.72-1.73
24 O 0.2055 0.6772 0.0115  1 Si 1.64
25 O 0.3095 0.0924 0.2049  3 Al 1.79-2.00
26 O 0.3793 0.4986 0.7971  1 Si 1.60
27 O 0.3810 0.8292 0.5061  1 Al 1.76, 1 Fe 1.79
28 O 0.3902 0.2212 0.6550  1 H 0.98
29 O 0.4076 0.0933 0.9467  1 Al 1.80, 1 Fe 1.95
30 O 0.4388 0.5321 0.3385  1 Al 1.78, 1 Fe 1.81
31 O 0.4729 0.3718 0.0906  1 Si 1.61, 1 Al 1.75
32 O 0.5408 0.7985 0.7336  1 Si 1.65
33 O 0.5676 0.1406 0.3981  1 Si 1.67, 1 Al 1.79
34 O 0.6065 0.8076 0.3007  2 Al 1.78-1.86, 1 Fe 1.96
35 O 0.6230 0.6062 0.9295  2 Si 1.72-1.73
36 O 0.7466 0.0301 0.5856  2 Si 1.69-1.77
37 O 0.7545 0.3882 0.4687  1 Si 1.64
38 O 0.7739 0.1084 0.7842  1 Si 1.66
39 O 0.7869 0.4492 0.7387  2 Si 1.66-1.70
40 O 0.8251 0.0878 0.1923  2 Al 1.78-1.79
41 O 0.8546 0.5099 0.1513  1 H 0.99
42 O 0.9123 0.7947 0.8405  1 Si 1.76
43 O 0.9936 0.1368 0.3918  1 Si 1.62, 1 Al 1.73
44 O 0.9993 0.7433 0.6320  1 H 0.98



# 5
Li4Mn3Fe2SnP6O24 | PBE with a Hubbard U | optimized geometry

Output
energy: -6.99 eV per atom
spin magnetization: 23.0 μB/f.u.
formation energy from the elements: -2456.1 meV/atom

abc: 8.5913 8.6646 8.7029
angles: 62.88 63.30 63.29
Last column: nearest neighbours and their distance in Å.
Space group P1 (No. 1)
One atom of each set of equivalent atoms:
1 Li 0.0000 0.0000 0.0000  4 O 2.06-2.14
2 Li 0.1059 0.5021 0.8585  2 O 1.98-2.06
3 Li 0.4511 0.7079 0.3033  3 O 1.96-2.17
4 Li 0.8922 0.0566 0.5127  2 O 1.97-2.07
5 Mn 0.0905 0.6965 0.4971  6 O 2.07-2.32
6 Mn 0.3972 0.0043 0.7995  6 O 2.10-2.28
7 Mn 0.5934 0.2045 0.9986  6 O 2.06-2.27
8 Fe 0.2549 0.8545 0.6496  6 O 2.08-2.32
9 Fe 0.7283 0.3501 0.1478  4 O 2.08-2.33
10 Sn 0.8930 0.5022 0.3050  6 O 2.03-2.14
11 P 0.1790 0.1036 0.2040  4 O 1.51-1.63
12 P 0.3048 0.6064 0.0957  4 O 1.54-1.57
13 P 0.4986 0.4093 0.5965  4 O 1.51-1.64
14 P 0.6854 0.9129 0.4080  4 O 1.54-1.58
15 P 0.8141 0.8043 0.9085  4 O 1.51-1.62
16 P 0.9979 0.2975 0.7134  4 O 1.53-1.57
17 O 0.0009 0.7794 0.7501  1 P 1.58
18 O 0.0696 0.4448 0.6840  1 P 1.53
19 O 0.1380 0.1034 0.7288  1 P 1.55
20 O 0.1436 0.5331 0.1492  1 P 1.57
21 O 0.1708 0.9514 0.3943  1 P 1.57
22 O 0.1794 0.0490 0.0595  1 P 1.53
23 O 0.2765 0.6727 0.2456  1 P 1.54
24 O 0.2937 0.7632 0.9148  1 P 1.55
25 O 0.3372 0.1716 0.1436  1 P 1.51
26 O 0.3461 0.6011 0.5773  1 P 1.58
27 O 0.4402 0.2559 0.6228  1 P 1.51
28 O 0.4912 0.4555 0.0749  1 P 1.54
29 O 0.4940 0.9220 0.5496  1 P 1.54
30 O 0.5774 0.3698 0.7388  1 P 1.51
31 O 0.6455 0.4448 0.3922  1 P 1.64
32 O 0.6460 0.8537 0.8592  1 P 1.51
33 O 0.6855 0.0930 0.2468  1 P 1.55
34 O 0.7356 0.7495 0.3421  1 P 1.58
35 O 0.8038 0.9416 0.9790  1 P 1.52
36 O 0.8318 0.8786 0.4851  1 P 1.54
37 O 0.8373 0.6006 0.0542  1 P 1.62
38 O 0.8463 0.2789 0.9008  1 P 1.56
39 O 0.9346 0.3455 0.5498  1 P 1.57
40 O 0.9798 0.2558 0.2462  1 P 1.63



# 6
K2MnH4Se2O10 | PBE with a Hubbard U | optimized geometry

Output
energy: -5.18 eV per atom
spin magnetization: 5.0 μB/f.u.
formation energy from the elements: -1342.4 meV/atom

abc: 6.1392 7.7938 7.9538
angles: 66.85 77.95 73.21
Last column: nearest neighbours and their distance in Å.
Space group P-1 (No. 2)
One atom of each set of equivalent atoms:
1 K 0.1656 0.2546 0.1296  6 O 2.67-2.87
2 Mn 0.0000 0.5000 0.5000  4 O 2.07-2.15
3 H 0.3887 0.9823 0.7248  1 O 1.00
4 H 0.4027 0.1659 0.7640  1 O 0.98
5 Se 0.3994 0.6783 0.5918  2 O 1.68-1.71
6 O 0.0986 0.4549 0.7508  1 O 1.48
7 O 0.2568 0.8271 0.7045  1 Se 1.68, 1 H 1.71
8 O 0.3186 0.3724 0.3762  1 Se 1.71
9 O 0.3432 0.4344 0.7626  1 O 1.48
10 O 0.4934 0.0478 0.7450  2 H 0.98-1.00



# 7
Ca3MnF6 | PBE with a Hubbard U | optimized geometry

Output
energy: -5.44 eV per atom
spin magnetization: 5.0 μB/f.u.
formation energy from the elements: -3213.5 meV/atom

abc: 4.7575 6.8453 6.9113
angles: 119.48 90.38 94.18
Last column: nearest neighbours and their distance in Å.
Space group P-1 (No. 2)
One atom of each set of equivalent atoms:
1 Ca 0.0000 0.0000 0.0000  4 F 2.25-2.28
2 Ca 0.0000 0.0000 0.5000  4 F 2.23-2.25
3 Ca 0.5000 0.5000 0.0000  4 F 2.31-2.32
4 Mn 0.0000 0.5000 0.5000  6 F 2.13-2.25
5 F 0.1983 0.8345 0.6678  1 Mn 2.13, 2 Ca 2.23-2.25
6 F 0.2175 0.3561 0.1795  1 Mn 2.23, 2 Ca 2.28-2.31
7 F 0.2334 0.3460 0.6679  1 Mn 2.25, 2 Ca 2.25-2.32



# 8
MgFe8O14F2 | PBE with a Hubbard U | optimized geometry

Output
energy: -6.11 eV per atom
spin magnetization: 36.0 μB/f.u.
energy above the most stable polymorph in this dataset: 82.0 meV/atom
formation energy from the elements: -1554.1 meV/atom

abc: 5.1322 5.1532 11.6596
angles: 89.38 89.29 76.63
Last column: nearest neighbours and their distance in Å.
Space group P1 (No. 1)
One atom of each set of equivalent atoms:
1 Mg 0.0000 0.0000 0.0000  1 F 1.89, 3 O 1.90-2.00
2 Fe 0.1040 0.0983 0.6434  4 O 1.93-1.96, 1 F 2.08
3 Fe 0.1105 0.0997 0.3752  4 O 1.93-1.98, 1 F 2.09
4 Fe 0.2718 0.2905 0.8663  3 O 1.86-1.95
5 Fe 0.2775 0.2823 0.1434  5 O 1.90-2.10
6 Fe 0.6549 0.6605 0.9989  5 O 1.93-2.03
7 Fe 0.6733 0.7322 0.5102  5 O 1.85-1.96
8 Fe 0.6849 0.6848 0.2655  5 O 1.89-2.08, 1 F 2.09
9 Fe 0.6882 0.6972 0.7547  6 O 1.86-1.96
10 O 0.0082 0.3849 0.0078  1 Mg 2.00, 3 Fe 2.03-2.11
11 O 0.3419 0.9990 0.5103  3 Fe 1.92-1.98
12 O 0.3770 0.9946 0.7603  3 Fe 1.94-1.95
13 O 0.3844 0.9997 0.2554  3 Fe 1.93-1.97
14 O 0.3837 0.0157 0.0084  1 Mg 1.99, 3 Fe 2.03-2.16
15 O 0.5087 0.5153 0.8695  3 Fe 1.86-1.96
16 O 0.5138 0.5173 0.1331  3 Fe 1.90-2.08
17 O 0.5319 0.5594 0.3966  2 Fe 1.85-1.89
18 O 0.5373 0.5658 0.6306  2 Fe 1.85-1.86
19 O 0.8349 0.8337 0.8856  1 Mg 1.90, 2 Fe 1.92-1.93
20 O 0.8522 0.8724 0.6346  3 Fe 1.93-1.96
21 O 0.8588 0.8753 0.3882  3 Fe 1.93-2.07
22 O 0.9868 0.3879 0.7533  3 Fe 1.94-1.96
23 O 0.9980 0.3852 0.2595  3 Fe 1.95-1.98
24 F 0.8604 0.8569 0.1311  1 Mg 1.89, 1 Fe 2.09
25 F 0.9751 0.3653 0.5091  3 Fe 2.08-2.15



# 9
Rb2U2Cr2O15F2 | PBE with a Hubbard U | optimized geometry

Output
energy: -7.09 eV per atom
spin magnetization: 2.0 μB/f.u.
formation energy from the elements: -2110.9 meV/atom

abc: 13.9526 9.5849 13.3505
angles: 90.00 100.79 90.00
Last column: nearest neighbours and their distance in Å.
Space group P2_1/c (No. 14)
One atom of each set of equivalent atoms:
1 Rb 0.0232 0.1232 0.1787  6 O 2.98-3.33, 1 F 3.17
2 Rb 0.4228 0.6468 0.0857  5 O 2.92-3.19, 1 F 2.99
3 U 0.2535 0.1800 0.4361  2 O 1.81-1.84
4 U 0.2543 0.6848 0.7961  2 O 1.82
5 Cr 0.2235 0.0624 0.7140  4 O 1.62-1.70
6 Cr 0.2239 0.5541 0.5233  4 O 1.62-1.69
7 O 0.0166 0.5592 0.9975  1 O 1.23
8 O 0.1093 0.0536 0.7218  1 Cr 1.62
9 O 0.1090 0.5374 0.5255  1 Cr 1.62
10 O 0.1234 0.2081 0.3976  1 U 1.81
11 O 0.1227 0.6885 0.7520  1 U 1.82
12 O 0.2339 0.1356 0.6024  1 Cr 1.68
13 O 0.2373 0.6495 0.4215  1 Cr 1.68
14 O 0.2731 0.1045 0.0150  1 Cr 1.68
15 O 0.2740 0.5990 0.2210  1 Cr 1.70
16 O 0.2813 0.6348 0.6305  1 Cr 1.69
17 O 0.2815 0.1625 0.8097  1 Cr 1.68
18 O 0.3846 0.1432 0.4709  1 U 1.84
19 O 0.3853 0.6748 0.8438  1 U 1.82
20 O 0.4657 0.0901 0.1642  1 O 1.23
21 O 0.4833 0.0105 0.0975  1 O 1.23
22 F 0.2374 0.5655 0.9471  2 U 2.37, 1 F 2.54
23 F 0.2424 0.0578 0.2799  2 U 2.34-2.37, 1 F 2.54



# 10
Li2Ni3O6 | PBE with a Hubbard U | optimized geometry

Output
energy: -4.82 eV per atom
spin magnetization: 2.0 μB/f.u.
energy above the most stable polymorph in this dataset: 34.2 meV/atom
formation energy from the elements: -1261.1 meV/atom

abc: 10.1150 4.9805 8.5660
angles: 90.00 90.00 90.00
Last column: nearest neighbours and their distance in Å.
Space group Aea2 (No. 41)
One atom of each set of equivalent atoms:
1 Li 0.2490 0.0932 0.0000  4 O 1.98-2.12
2 Ni 0.0000 0.0000 0.2507  6 O 1.90-2.02
3 Ni 0.0000 0.0000 0.5825  6 O 1.87-1.91
4 Ni 0.0000 0.0000 0.9127  6 O 1.90-2.07
5 O 0.0933 0.3317 0.2474  3 Ni 1.89-1.90
6 O 0.1001 0.3239 0.5749  3 Ni 1.91-2.02, 2 Li 2.02-2.12
7 O 0.1078 0.3525 0.9280  3 Ni 1.87-2.07, 2 Li 1.98-2.02



# 11
Li4Fe2P4H3O16 | PBE with a Hubbard U | optimized geometry

Output
energy: -6.49 eV per atom
spin magnetization: 9.0 μB/f.u.
formation energy from the elements: -2352.4 meV/atom

abc: 4.9262 7.6812 8.3488
angles: 91.40 91.04 103.27
Last column: nearest neighbours and their distance in Å.
Space group P1 (No. 1)
One atom of each set of equivalent atoms:
1 Li 0.0000 0.0000 0.0000  4 O 1.98-2.06
2 Li 0.1905 0.2986 0.7492  4 O 1.96-2.11
3 Li 0.4878 0.4668 0.2227  4 O 1.98-2.14
4 Li 0.7260 0.8274 0.5198  4 O 1.98-2.09
5 Fe 0.1028 0.1497 0.3707  6 O 2.08-2.24
6 Fe 0.6046 0.6439 0.8754  6 O 2.00-2.10
7 P 0.2286 0.9012 0.7195  4 O 1.52-1.61
8 P 0.4908 0.8943 0.2032  4 O 1.52-1.64
9 P 0.7148 0.4017 0.5411  4 O 1.52-1.64
10 P 0.9821 0.3868 0.0233  4 O 1.54-1.57
11 H 0.0633 0.6199 0.4758  1 O 0.98
12 H 0.1468 0.6666 0.2525  1 O 0.98
13 H 0.5610 0.1246 0.8576  1 O 1.03
14 O 0.0886 0.3504 0.1905  1 P 1.54
15 O 0.1222 0.9490 0.5578  1 P 1.52
16 O 0.2282 0.4953 0.9244  1 P 1.57
17 O 0.2664 0.9989 0.1803  1 P 1.52
18 O 0.3459 0.7031 0.2835  1 H 0.98
19 O 0.3574 0.0866 0.8148  1 H 1.03
20 O 0.4540 0.7914 0.7006  1 P 1.55
21 O 0.4893 0.3215 0.4158  1 P 1.52
22 O 0.5911 0.4513 0.6993  1 P 1.54
23 O 0.6129 0.8441 0.0446  1 P 1.54
24 O 0.7181 0.9732 0.3282  1 P 1.52
25 O 0.7632 0.5050 0.0446  1 P 1.57
26 O 0.8593 0.5939 0.4625  1 H 0.98
27 O 0.8626 0.2110 0.9267  1 P 1.54, 1 H 1.57
28 O 0.9410 0.2983 0.5630  1 P 1.52
29 O 0.9884 0.8055 0.8248  1 P 1.54



# 12
SrLaFeCoO6 | PBE with a Hubbard U | optimized geometry

Output
energy: -6.79 eV per atom
spin magnetization: 6.0 μB/f.u.
energy above the most stable polymorph in this dataset: 12.4 meV/atom
formation energy from the elements: -2405.4 meV/atom

abc: 7.7859 7.8972 7.7321
angles: 90.00 90.00 90.00
Last column: nearest neighbours and their distance in Å.
Space group C222 (No. 21)
One atom of each set of equivalent atoms:
1 Sr 0.2500 0.2500 0.2496  12 O 2.74-2.77
2 La 0.2500 0.2500 0.7502  12 O 2.74-2.77
3 Fe 0.0000 0.0000 0.5000  6 O 1.96-2.01
4 Fe 0.0000 0.5000 0.0000  6 O 1.92-1.95
5 Co 0.0000 0.0000 0.0000  6 O 1.86-1.99
6 Co 0.0000 0.5000 0.5000  6 O 1.90-1.99
7 O 0.0000 0.0000 0.2406  1 Co 1.86, 1 Fe 2.01
8 O 0.0000 0.2483 0.5000  1 Fe 1.96, 1 Co 1.99
9 O 0.0000 0.2526 0.0000  1 Fe 1.95, 1 Co 1.99
10 O 0.0000 0.5000 0.2491  1 Fe 1.93, 1 Co 1.94
11 O 0.2441 0.5000 0.5000  1 Co 1.90, 1 Fe 1.99
12 O 0.2468 0.5000 0.0000  1 Fe 1.92, 1 Co 1.97